No. 1
Density functional theory data (PBE+U) for Fe17O18 after structural relaxation.

Cell lengths 6.8343, 8.1817, 8.2308 Å; angles 110.93, 94.52, 114.24 degrees
Sites, in units of the cell vectors:
O  0.9030  0.1219  0.4561
O  0.7548  0.4111  0.4190
O  0.4228  0.6496  0.9933
O  0.2738  0.2758  0.2647
O  0.0748  0.5265  0.1945
O  0.0970  0.8781  0.5439
O  0.7270  0.0792  0.0978
O  0.2730  0.9208  0.9022
O  0.2452  0.5889  0.5810
O  0.7262  0.7242  0.7353
O  0.9252  0.4735  0.8055
O  0.3997  0.2905  0.6412
O  0.5776  0.0383  0.6941
O  0.6003  0.7095  0.3588
O  0.5772  0.3504  0.0067
O  0.9123  0.8061  0.1528
O  0.0877  0.1939  0.8472
O  0.4224  0.9617  0.3059
Fe  0.8428  0.2714  0.9470
Fe  0.6744  0.8947  0.2180
Fe  0.4827  0.1610  0.1639
Fe  0.3256  0.1053  0.7820
Fe  0.9979  0.3240  0.3267
Fe  0.5173  0.8390  0.8361
Fe  0.1572  0.7286  0.0530
Fe  0.3291  0.7741  0.4447
Fe  0.6709  0.2259  0.5553
Fe  0.6753  0.5626  0.8937
Fe  0.1675  0.3927  0.7173
Fe  0.3247  0.4374  0.1063
Fe  0.1672  0.0535  0.3835
Fe  0.8325  0.6073  0.2827
Fe  0.8328  0.9465  0.6165
Fe  0.0021  0.6760  0.6733
Fe  0.5000  0.5000  0.5000

Properties
The formation energy is -1.47 eV per atom. Its symmetry is P-1, No. 2. The calculated volume is 378.0 Å³/cell.

---

No. 2
Density functional theory data (PBE+U) for FeO after structural relaxation.

Cell lengths 3.1572, 5.3509, 5.3601 Å; angles 108.44, 91.09, 91.66 degrees
Sites, in units of the cell vectors:
Fe  0.0000  0.0000  0.0000
Fe  0.5000  0.5000  0.0000
Fe  0.5000  0.0000  0.5000
Fe  0.0000  0.5000  0.5000
O  0.0206  0.7495  0.2696
O  0.9794  0.2505  0.7304
O  0.4794  0.2501  0.2305
O  0.5206  0.7499  0.7695

Properties
The formation energy is -1.47 eV per atom. The calculated volume is 85.8 Å³/cell.

---

No. 3
Density functional theory data (PBE+U) for Fe32O35 after structural relaxation.

Cell lengths 3.0995, 13.4115, 18.4973 Å; angles 105.17, 94.60, 96.61 degrees
Sites, in units of the cell vectors:
O  0.0530  0.4129  0.6551
O  0.8369  0.9359  0.7889
O  0.9921  0.5097  0.4841
O  0.5228  0.8806  0.2003
O  0.3148  0.5500  0.0740
O  0.9188  0.7513  0.0673
O  0.0821  0.2525  0.9141
O  0.0407  0.3285  0.7893
O  0.2722  0.7209  0.7819
O  0.7743  0.1842  0.3635
O  0.7236  0.3688  0.0772
O  0.4774  0.1374  0.7880
O  0.3757  0.3896  0.3590
O  0.1900  0.9053  0.5051
O  0.5287  0.9596  0.0617
O  0.6298  0.6099  0.6506
O  0.8443  0.0095  0.6457
O  0.6982  0.4421  0.9242
O  0.7956  0.1052  0.4954
O  0.8845  0.8500  0.9298
O  0.9738  0.5769  0.3574
O  0.5822  0.7769  0.3702
O  0.4816  0.0384  0.9340
O  0.4030  0.2080  0.6422
O  0.7482  0.2785  0.2162
O  0.1796  0.9987  0.3634
O  0.3886  0.2885  0.4946
O  0.2669  0.6451  0.9270
O  0.2140  0.8046  0.6415
O  0.9343  0.6589  0.2071
O  0.5803  0.6911  0.4994
O  0.1595  0.0784  0.2177
O  0.1013  0.1458  0.0796
O  0.3453  0.4780  0.2092
O  0.6358  0.5327  0.7816
Fe  0.1982  0.3875  0.0014
Fe  0.6707  0.9316  0.4180
Fe  0.3612  0.8839  0.8578
Fe  0.2221  0.3016  0.1327
Fe  0.7747  0.6866  0.8581
Fe  0.0841  0.7436  0.4318
Fe  0.3992  0.8005  0.0015
Fe  0.8935  0.3491  0.4370
Fe  0.0079  0.0139  0.0008
Fe  0.7501  0.7729  0.7147
Fe  0.3385  0.9732  0.7140
Fe  0.4669  0.6474  0.2861
Fe  0.9425  0.1700  0.7121
Fe  0.7930  0.5989  0.0017
Fe  0.0235  0.9168  0.1409
Fe  0.3173  0.0575  0.5690
Fe  0.5677  0.2873  0.8558
Fe  0.8306  0.5137  0.1434
Fe  0.2554  0.2297  0.2869
Fe  0.6530  0.0142  0.2844
Fe  0.8571  0.4281  0.2818
Fe  0.5492  0.3692  0.7137
Fe  0.2840  0.1431  0.4287
Fe  0.1049  0.6452  0.5719
Fe  0.4845  0.5437  0.4248
Fe  0.9780  0.0918  0.8661
Fe  0.6253  0.1140  0.1469
Fe  0.9144  0.2725  0.5723
Fe  0.4447  0.7262  0.1529
Fe  0.1290  0.5632  0.7051
Fe  0.1792  0.4888  0.8570
Fe  0.7059  0.8551  0.5695

Properties
The formation energy is -1.48 eV per atom. Its symmetry is P1, No. 1. The calculated volume is 732.3 Å³/cell.

---

No. 4
Density functional theory data (PBE+U) for Fe5O8 after structural relaxation.

Cell lengths 5.9207, 5.9207, 5.9207 Å; angles 61.24, 61.24, 61.24 degrees
Sites, in units of the cell vectors:
O  0.2464  0.7307  0.2464
O  0.2553  0.2553  0.2553
O  0.2693  0.7536  0.7536
O  0.2464  0.2464  0.7307
O  0.7307  0.2464  0.2464
O  0.7447  0.7447  0.7447
O  0.7536  0.2693  0.7536
O  0.7536  0.7536  0.2693
Fe  0.1182  0.1182  0.1182
Fe  0.5000  0.0000  0.5000
Fe  0.5000  0.5000  0.0000
Fe  0.8818  0.8818  0.8818
Fe  0.0000  0.5000  0.5000

Properties
As for the distance to the lowest polymorph of the same formula: 2.1 kJ per mole of atoms. The formation energy is -1.46 eV per atom. Its symmetry is R-3m, No. 166. The calculated volume is 150.8 Å³/cell.

---

No. 5
Density functional theory data (PBE+U) for Fe3O4 after structural relaxation.

Cell lengths 2.9558, 9.7954, 10.0055 Å; angles 90.29, 90.00, 90.00 degrees
Sites, in units of the cell vectors:
O  0.7529  0.9779  0.3859
O  0.7748  0.7108  0.2509
O  0.7125  0.5210  0.8877
O  0.7306  0.2487  0.5008
O  0.1798  0.2912  0.7503
O  0.7284  0.2513  0.0020
O  0.7662  0.9788  0.1132
O  0.8202  0.7912  0.7503
O  0.7331  0.5189  0.6091
O  0.2338  0.4788  0.1132
O  0.2669  0.0189  0.6091
O  0.2875  0.0210  0.8877
O  0.2252  0.2108  0.2509
O  0.2471  0.4779  0.3859
O  0.2716  0.7513  0.0020
O  0.2694  0.7487  0.5008
Fe  0.2548  0.1176  0.0765
Fe  0.2102  0.3822  0.9250
Fe  0.2288  0.3815  0.5736
Fe  0.7553  0.6166  0.4250
Fe  0.6749  0.1379  0.7520
Fe  0.7210  0.3656  0.2482
Fe  0.2790  0.8656  0.2482
Fe  0.3251  0.6379  0.7520
Fe  0.7898  0.8822  0.9250
Fe  0.7452  0.6176  0.0765
Fe  0.7712  0.8815  0.5736
Fe  0.2447  0.1166  0.4250

Properties
The formation energy is -1.53 eV per atom. Its symmetry is Pc, No. 7. The calculated volume is 289.7 Å³/cell.

---

No. 6
Density functional theory data (PBE+U) for Fe3O4 after structural relaxation.

Cell lengths 6.0209, 6.0209, 6.0471 Å; angles 120.14, 90.00, 60.29 degrees
Sites, in units of the cell vectors:
O  0.7415  0.0046  0.2630
O  0.2630  0.4831  0.7415
O  0.7415  0.0046  0.7415
O  0.7370  0.5169  0.2585
O  0.2568  0.5135  0.2568
O  0.2585  0.9954  0.2585
O  0.7432  0.4865  0.7432
O  0.2585  0.9954  0.7370
Fe  0.5000  0.5000  0.5000
Fe  0.1261  0.2522  0.1261
Fe  0.5000  0.5000  0.0000
Fe  0.5000  0.0000  0.5000
Fe  0.0000  0.0000  0.5000
Fe  0.8739  0.7478  0.8739

Properties
The formation energy is -1.63 eV per atom. Its symmetry is R-3m, No. 166. The calculated volume is 155.3 Å³/cell.

---

No. 7
Density functional theory data (PBE+U) for FeO after structural relaxation.

Cell lengths 3.1023, 5.3757, 5.4438 Å; angles 110.56, 91.10, 89.95 degrees
Sites, in units of the cell vectors:
Fe  0.0000  0.5000  0.5000
Fe  0.5000  0.0000  0.5000
Fe  0.0000  0.0000  0.0000
Fe  0.5000  0.5000  0.0000
O  0.4683  0.2517  0.2421
O  0.5317  0.7483  0.7579
O  0.9683  0.2517  0.7421
O  0.0317  0.7483  0.2579

Properties
The formation energy is -1.48 eV per atom. The calculated volume is 85.0 Å³/cell.

---

No. 8
Density functional theory data (PBE+U) for FeO after structural relaxation.

Cell lengths 5.3192, 5.3192, 10.5019 Å; angles 90.00, 90.00, 120.00 degrees
Sites, in units of the cell vectors:
Fe  0.9975  0.3274  0.3752
Fe  0.3287  0.0125  0.1258
Fe  0.0125  0.3287  0.6258
Fe  0.6713  0.6838  0.6258
Fe  0.3299  0.0025  0.3752
Fe  0.3162  0.9875  0.6258
Fe  0.9875  0.3162  0.1258
Fe  0.6726  0.6701  0.3752
Fe  0.6838  0.6713  0.1258
Fe  0.0025  0.3299  0.8752
Fe  0.3274  0.9975  0.8752
Fe  0.6701  0.6726  0.8752
O  0.3185  0.3338  0.7488
O  0.6662  0.9847  0.7488
O  0.0000  0.0000  0.4923
O  0.0153  0.6815  0.7488
O  0.3333  0.6667  0.0104
O  0.6667  0.3333  0.5104
O  0.9847  0.6662  0.2488
O  0.6667  0.3333  0.9911
O  0.3333  0.6667  0.4911
O  0.3338  0.3185  0.2488
O  0.6815  0.0153  0.2488
O  0.0000  0.0000  0.9923

Properties
The formation energy is -1.37 eV per atom. Its symmetry is P31c, No. 159. The calculated volume is 257.3 Å³/cell.

---

No. 9
Density functional theory data (PBE+U) for Fe3O4 after structural relaxation.

Cell lengths 5.1107, 5.1107, 10.0011 Å; angles 90.00, 90.00, 146.43 degrees
Sites, in units of the cell vectors:
O  0.2285  0.7715  0.3875
O  0.5000  0.5000  0.5000
O  0.5000  0.5000  0.0000
O  0.0386  0.9614  0.7500
O  0.7715  0.2285  0.8875
O  0.7715  0.2285  0.6125
O  0.9614  0.0386  0.2500
O  0.2285  0.7715  0.1125
Fe  0.6180  0.3820  0.2500
Fe  0.8678  0.1322  0.0752
Fe  0.3820  0.6180  0.7500
Fe  0.8678  0.1322  0.4248
Fe  0.1322  0.8678  0.5752
Fe  0.1322  0.8678  0.9248

Properties
The formation energy is -1.54 eV per atom. Its symmetry is Cmcm, No. 63. The calculated volume is 144.5 Å³/cell.

---

No. 10
Density functional theory data (PBE+U) for Fe10O11 after structural relaxation.

Cell lengths 5.3538, 6.8074, 6.8797 Å; angles 107.41, 98.42, 104.79 degrees
Sites, in units of the cell vectors:
O  0.5749  0.8750  0.8282
O  0.9378  0.3362  0.0937
O  0.0622  0.6638  0.9063
O  0.3257  0.7754  0.3475
O  0.4251  0.1250  0.1718
O  0.6743  0.2246  0.6525
O  0.1683  0.0548  0.7141
O  0.8317  0.9452  0.2859
O  0.5000  0.5000  0.0000
O  0.7595  0.5758  0.4487
O  0.2405  0.4242  0.5513
Fe  0.8296  0.2670  0.3611
Fe  0.1704  0.7330  0.6389
Fe  0.5569  0.1838  0.9155
Fe  0.7262  0.9037  0.5601
Fe  0.6492  0.5559  0.7355
Fe  0.9136  0.6545  0.1824
Fe  0.2738  0.0963  0.4399
Fe  0.4431  0.8162  0.0845
Fe  0.3508  0.4441  0.2645
Fe  0.0864  0.3455  0.8176

Properties
As for the distance to the lowest polymorph of the same formula: 1.1 kJ per mole of atoms. The formation energy is -1.48 eV per atom. Its symmetry is P-1, No. 2. The calculated volume is 224.5 Å³/cell.

---

No. 11
Density functional theory data (PBE+U) for Fe23O32 after structural relaxation.

Cell lengths 8.3234, 8.3234, 8.3234 Å; angles 89.67, 89.67, 89.67 degrees
Sites, in units of the cell vectors:
Fe  0.0000  0.5000  0.5000
Fe  0.5000  0.7534  0.2466
Fe  0.9977  0.7531  0.7531
Fe  0.3758  0.8802  0.8802
Fe  0.6293  0.6293  0.6293
Fe  0.8802  0.3758  0.8802
Fe  0.1198  0.6242  0.1198
Fe  0.1198  0.1198  0.6242
Fe  0.5000  0.2466  0.7534
Fe  0.7531  0.9977  0.7531
Fe  0.5000  0.5000  0.0000
Fe  0.0023  0.2469  0.2469
Fe  0.6242  0.1198  0.1198
Fe  0.2466  0.5000  0.7534
Fe  0.3707  0.3707  0.3707
Fe  0.2469  0.2469  0.0023
Fe  0.7531  0.7531  0.9977
Fe  0.8802  0.8802  0.3758
Fe  0.7534  0.2466  0.5000
Fe  0.7534  0.5000  0.2466
Fe  0.2466  0.7534  0.5000
Fe  0.5000  0.0000  0.5000
Fe  0.2469  0.0023  0.2469
O  0.0204  0.2628  0.0204
O  0.7710  0.2488  0.2488
O  0.5155  0.9993  0.7332
O  0.5034  0.5034  0.2326
O  0.0204  0.0204  0.2628
O  0.4845  0.2668  0.0007
O  0.4845  0.0007  0.2668
O  0.4966  0.7674  0.4966
O  0.2371  0.2371  0.2371
O  0.2488  0.2488  0.7710
O  0.7332  0.5155  0.9993
O  0.9796  0.9796  0.7372
O  0.2668  0.0007  0.4845
O  0.2290  0.7512  0.7512
O  0.7512  0.2290  0.7512
O  0.4966  0.4966  0.7674
O  0.7512  0.7512  0.2290
O  0.5155  0.7332  0.9993
O  0.0007  0.2668  0.4845
O  0.0007  0.4845  0.2668
O  0.9993  0.5155  0.7332
O  0.7332  0.9993  0.5155
O  0.2488  0.7710  0.2488
O  0.7674  0.4966  0.4966
O  0.2326  0.5034  0.5034
O  0.9796  0.7372  0.9796
O  0.2628  0.0204  0.0204
O  0.7629  0.7629  0.7629
O  0.9993  0.7332  0.5155
O  0.7372  0.9796  0.9796
O  0.5034  0.2326  0.5034
O  0.2668  0.4845  0.0007

Properties
As for the distance to the lowest polymorph of the same formula: 7.7 kJ per mole of atoms. The formation energy is -1.48 eV per atom. Its symmetry is R-3m, No. 166. The calculated volume is 576.6 Å³/cell.

---

no.,E_tot (eV/atom)
1,-6.684
2,-6.705
3,-6.669
4,-6.468
5,-6.629
6,-6.728
7,-6.719
8,-6.608
9,-6.635
10,-6.670
11,-6.557